No. 1
VASP calculation (PBE) on Ba3FeS5 after structural relaxation.

Summary:
Energy above the most stable polymorph in this dataset, meV/atom: 0
Raw total energy, eV for the cell shown: -193.02
Magnetization, Bohr magnetons per cell: 16.0

a = 8.546 Å, b = 9.610 Å, c = 12.064 Å
α = 90.00°, β = 90.00°, γ = 90.00°
Sites, in units of the cell vectors:
S: 0.829 0.250 0.263
S: 0.806 0.945 0.561
Ba: 0.905 0.250 0.517
Ba: 0.595 0.250 0.017
S: 0.194 0.055 0.439
S: 0.866 0.750 0.278
Ba: 0.405 0.750 0.983
S: 0.526 0.250 0.497
S: 0.306 0.055 0.939
Ba: 0.912 0.981 0.822
S: 0.634 0.750 0.778
S: 0.806 0.555 0.561
S: 0.694 0.555 0.061
S: 0.671 0.250 0.763
Fe: 0.688 0.750 0.600
Ba: 0.095 0.750 0.483
Ba: 0.912 0.519 0.822
S: 0.171 0.750 0.737
Ba: 0.088 0.019 0.178
S: 0.474 0.750 0.503
Fe: 0.812 0.750 0.100
S: 0.134 0.250 0.722
S: 0.026 0.750 0.003
Fe: 0.188 0.250 0.900
Ba: 0.588 0.519 0.322
Fe: 0.312 0.250 0.400
Ba: 0.412 0.481 0.678
S: 0.194 0.445 0.439
S: 0.329 0.750 0.237
Ba: 0.588 0.981 0.322
S: 0.694 0.945 0.061
Ba: 0.088 0.481 0.178
Ba: 0.412 0.019 0.678
S: 0.306 0.445 0.939
S: 0.974 0.250 0.997
S: 0.366 0.250 0.222



No. 2
VASP calculation (PBE) on V2AsC after structural relaxation.

Summary:
Raw total energy, eV for the cell shown: -68.38

a = 3.112 Å, b = 3.112 Å, c = 11.414 Å
α = 90.00°, β = 90.00°, γ = 120.00°
Sites, in units of the cell vectors:
V: 0.333 0.667 0.409
As: 0.333 0.667 0.750
V: 0.667 0.333 0.909
C: 0.000 0.000 0.500
V: 0.333 0.667 0.091
As: 0.667 0.333 0.250
V: 0.667 0.333 0.591
C: 0.000 0.000 0.000



No. 3
VASP calculation (PBE) on Cd2P after structural relaxation.

Summary:
Raw total energy, eV for the cell shown: -12.99
Magnetization, Bohr magnetons per cell: 0.0

a = 5.831 Å, b = 5.831 Å, c = 5.831 Å
α = 90.00°, β = 90.00°, γ = 90.00°
Sites, in units of the cell vectors:
Cd: 0.250 0.750 0.750
Cd: 0.750 0.250 0.750
Cd: 0.750 0.750 0.250
P: 0.000 0.000 0.000
Cd: 0.250 0.250 0.250
P: 0.500 0.500 0.500



No. 4
VASP calculation (PBE) on LiMg14Nb after structural relaxation.

Summary:
Energy above the most stable polymorph in this dataset, meV/atom: 0
Raw total energy, eV for the cell shown: -33.33
Magnetization, Bohr magnetons per cell: 0.0

a = 6.378 Å, b = 6.378 Å, c = 9.954 Å
α = 90.00°, β = 90.00°, γ = 120.00°
Sites, in units of the cell vectors:
Mg: 0.833 0.667 0.874
Mg: 0.168 0.834 0.125
Mg: 0.666 0.834 0.125
Mg: 0.842 0.171 0.378
Mg: 0.329 0.658 0.872
Mg: 0.842 0.171 0.872
Li: 0.167 0.333 0.125
Mg: 0.833 0.667 0.376
Nb: 0.167 0.333 0.625
Mg: 0.329 0.171 0.872
Mg: 0.665 0.330 0.625
Mg: 0.170 0.835 0.625
Mg: 0.329 0.171 0.378
Mg: 0.666 0.332 0.125
Mg: 0.665 0.835 0.625
Mg: 0.329 0.658 0.378



No. 5
VASP calculation (PBE) on Ho2NiB10 after structural relaxation.

Summary:
Raw total energy, eV for the cell shown: -176.50

a = 4.132 Å, b = 5.532 Å, c = 11.040 Å
α = 90.00°, β = 90.00°, γ = 90.00°
Sites, in units of the cell vectors:
B: 0.699 0.704 0.386
Ho: 0.500 0.192 0.363
B: 0.301 0.796 0.886
Ho: 0.500 0.692 0.137
B: 0.000 0.534 0.312
B: 0.699 0.296 0.614
Ho: 0.500 0.308 0.863
Ho: 0.500 0.808 0.637
B: 0.301 0.296 0.614
B: 0.000 0.654 0.802
B: 0.000 0.626 0.959
B: 0.301 0.704 0.386
B: 0.699 0.204 0.114
B: 0.000 0.346 0.198
B: 0.000 0.466 0.688
B: 0.000 0.846 0.302
B: 0.301 0.204 0.114
Ni: 0.000 0.000 0.000
B: 0.000 0.034 0.188
B: 0.699 0.796 0.886
Ni: 0.000 0.500 0.500
B: 0.000 0.126 0.541
B: 0.000 0.374 0.041
B: 0.000 0.966 0.812
B: 0.000 0.874 0.459
B: 0.000 0.154 0.698



No. 6
VASP calculation (PBE) on TmCu3S3 after structural relaxation.

Summary:
Raw total energy, eV for the cell shown: -70.20

a = 7.367 Å, b = 7.367 Å, c = 7.367 Å
α = 53.67°, β = 53.67°, γ = 53.67°
Sites, in units of the cell vectors:
S: 0.084 0.751 0.419
Cu: 0.376 0.713 0.040
Cu: 0.713 0.040 0.376
S: 0.751 0.419 0.084
Cu: 0.960 0.624 0.287
S: 0.916 0.249 0.581
Tm: 0.167 0.167 0.167
S: 0.249 0.581 0.916
S: 0.419 0.084 0.751
Cu: 0.287 0.960 0.624
S: 0.581 0.916 0.249
Cu: 0.624 0.287 0.960
Cu: 0.040 0.376 0.713
Tm: 0.833 0.833 0.833



No. 7
VASP calculation (PBE) on KPtBr3N after structural relaxation.

Summary:
Raw total energy, eV for the cell shown: -42.21
Magnetization, Bohr magnetons per cell: 2.0

a = 9.588 Å, b = 9.588 Å, c = 9.788 Å
α = 90.00°, β = 90.00°, γ = 152.25°
Sites, in units of the cell vectors:
Br: 0.984 0.016 0.750
N: 0.252 0.748 0.250
K: 0.500 0.500 0.000
Br: 0.854 0.146 0.498
Pt: 0.158 0.842 0.250
Pt: 0.842 0.158 0.750
N: 0.748 0.252 0.750
Br: 0.146 0.854 0.998
Br: 0.016 0.984 0.250
Br: 0.146 0.854 0.502
Br: 0.854 0.146 0.002
K: 0.500 0.500 0.500



No. 8
VASP calculation (PBE) on Ho3Mn3Ga2Si after structural relaxation.

Summary:
Energy above the most stable polymorph in this dataset, meV/atom: 0
Raw total energy, eV for the cell shown: -55.92
Magnetization, Bohr magnetons per cell: 7.4

a = 3.926 Å, b = 7.062 Å, c = 7.062 Å
α = 120.00°, β = 90.00°, γ = 90.00°
Sites, in units of the cell vectors:
Si: 0.500 0.000 0.000
Ga: 0.000 0.667 0.333
Mn: 0.000 0.000 0.780
Mn: 0.000 0.780 0.000
Ho: 0.500 0.000 0.407
Ho: 0.500 0.593 0.593
Ga: 0.000 0.333 0.667
Mn: 0.000 0.220 0.220
Ho: 0.500 0.407 0.000



No. 9
VASP calculation (PBE) on CeBi2Rh6O15 after structural relaxation.

Summary:
Raw total energy, eV for the cell shown: -641.08
Magnetization, Bohr magnetons per cell: 0.0

a = 30.205 Å, b = 5.215 Å, c = 7.245 Å
α = 89.93°, β = 90.00°, γ = 90.00°
Sites, in units of the cell vectors:
Rh: 0.063 0.250 0.581
O: 0.731 0.436 0.832
Rh: 0.769 0.751 0.919
O: 0.500 0.600 0.883
O: 0.290 0.907 0.978
Rh: 0.897 0.750 0.419
Rh: 0.103 0.750 0.419
Rh: 0.603 0.249 0.080
Rh: 0.436 0.751 0.919
Ce: 0.667 0.706 0.760
Rh: 0.770 0.750 0.421
Rh: 0.270 0.249 0.080
O: 0.122 0.096 0.017
Rh: 0.730 0.249 0.580
O: 0.878 0.404 0.518
O: 0.100 0.934 0.667
O: 0.602 0.436 0.832
Rh: 0.270 0.249 0.580
O: 0.767 0.567 0.167
O: 0.789 0.403 0.519
O: 0.211 0.096 0.017
Rh: 0.397 0.249 0.080
O: 0.544 0.403 0.519
O: 0.899 0.565 0.167
Bi: 0.833 0.218 0.741
O: 0.233 0.567 0.167
O: 0.667 0.406 0.116
O: 0.042 0.598 0.482
O: 0.900 0.934 0.667
O: 0.211 0.403 0.519
O: 0.600 0.066 0.332
O: 0.064 0.063 0.332
Bi: 0.167 0.218 0.741
O: 0.064 0.437 0.832
O: 0.456 0.403 0.519
O: 0.434 0.933 0.667
O: 0.710 0.907 0.978
O: 0.958 0.902 0.982
O: 0.267 0.066 0.332
O: 0.042 0.902 0.982
Rh: 0.730 0.249 0.080
Rh: 0.937 0.250 0.081
Bi: 0.167 0.284 0.240
O: 0.958 0.598 0.482
O: 0.333 0.091 0.624
O: 0.567 0.567 0.167
O: 0.456 0.096 0.018
Rh: 0.103 0.751 0.919
O: 0.269 0.436 0.832
O: 0.290 0.600 0.485
O: 0.624 0.907 0.978
O: 0.566 0.933 0.667
O: 0.623 0.600 0.485
Rh: 0.063 0.250 0.081
O: 0.233 0.933 0.667
O: 0.733 0.066 0.332
O: 0.400 0.066 0.332
O: 0.377 0.600 0.485
Rh: 0.230 0.750 0.421
O: 0.667 0.091 0.624
O: 0.000 0.084 0.622
Bi: 0.500 0.218 0.741
O: 0.767 0.933 0.667
O: 0.544 0.096 0.018
O: 0.000 0.416 0.122
O: 0.167 0.600 0.883
Bi: 0.667 0.783 0.260
O: 0.500 0.899 0.380
O: 0.433 0.567 0.167
Bi: 0.500 0.285 0.241
O: 0.936 0.063 0.332
Bi: 0.333 0.783 0.260
Ce: 0.000 0.793 0.259
Ce: 0.000 0.706 0.759
O: 0.398 0.436 0.832
Rh: 0.231 0.751 0.919
Rh: 0.937 0.250 0.581
Rh: 0.564 0.751 0.919
Ce: 0.333 0.706 0.760
Rh: 0.437 0.750 0.421
O: 0.834 0.899 0.382
O: 0.166 0.899 0.382
O: 0.710 0.600 0.485
O: 0.833 0.600 0.883
O: 0.936 0.437 0.832
Bi: 0.833 0.284 0.240
O: 0.101 0.565 0.167
O: 0.376 0.907 0.978
Rh: 0.563 0.750 0.421
O: 0.333 0.406 0.116
O: 0.789 0.096 0.017
O: 0.122 0.404 0.518
Rh: 0.897 0.751 0.919
Rh: 0.396 0.249 0.580
O: 0.878 0.096 0.017
Rh: 0.604 0.249 0.580



No. 10
VASP calculation (PBE) on RbTlF3 after structural relaxation.

Summary:
Raw total energy, eV for the cell shown: -19.84
Magnetization, Bohr magnetons per cell: 0.0

a = 4.747 Å, b = 4.750 Å, c = 4.749 Å
α = 89.62°, β = 89.34°, γ = 89.84°
Sites, in units of the cell vectors:
Tl: 0.486 0.499 0.495
F: 0.492 0.498 0.995
F: 0.485 0.999 0.495
Rb: 0.992 0.996 0.992
F: 0.985 0.508 0.513



No. 11
VASP calculation (PBE) on NbH8N2O2F5 after structural relaxation.

Summary:
Raw total energy, eV for the cell shown: -398.19
Magnetization, Bohr magnetons per cell: 0.0

a = 7.743 Å, b = 9.083 Å, c = 9.453 Å
α = 90.00°, β = 90.00°, γ = 90.00°
Sites, in units of the cell vectors:
F: 0.638 0.250 0.835
H: 0.170 0.440 0.475
H: 0.042 0.096 0.620
O: 0.836 0.750 0.014
N: 0.076 0.482 0.542
F: 0.351 0.403 0.746
H: 0.542 0.596 0.880
H: 0.563 0.750 0.690
H: 0.868 0.250 0.761
O: 0.987 0.250 0.724
H: 0.937 0.750 0.190
N: 0.424 0.018 0.042
F: 0.649 0.903 0.254
F: 0.351 0.097 0.746
N: 0.924 0.518 0.458
H: 0.379 0.920 0.090
F: 0.857 0.101 0.078
O: 0.487 0.750 0.776
H: 0.670 0.940 0.025
N: 0.576 0.982 0.958
H: 0.368 0.750 0.739
H: 0.632 0.250 0.261
O: 0.513 0.250 0.224
H: 0.063 0.250 0.810
H: 0.437 0.250 0.310
H: 0.042 0.404 0.620
H: 0.330 0.060 0.975
H: 0.958 0.904 0.380
F: 0.857 0.399 0.078
H: 0.542 0.904 0.880
O: 0.164 0.250 0.986
F: 0.357 0.899 0.422
H: 0.621 0.420 0.910
H: 0.879 0.080 0.410
H: 0.379 0.580 0.090
H: 0.330 0.440 0.975
F: 0.649 0.597 0.254
F: 0.643 0.101 0.578
H: 0.621 0.080 0.910
O: 0.336 0.250 0.486
Nb: 0.525 0.750 0.364
N: 0.076 0.018 0.542
H: 0.121 0.920 0.590
F: 0.851 0.597 0.754
Nb: 0.025 0.250 0.136
Nb: 0.975 0.750 0.864
H: 0.170 0.060 0.475
F: 0.362 0.750 0.165
F: 0.149 0.403 0.246
N: 0.924 0.982 0.458
F: 0.643 0.399 0.578
H: 0.830 0.560 0.525
F: 0.862 0.250 0.335
H: 0.879 0.420 0.410
O: 0.664 0.750 0.514
H: 0.830 0.940 0.525
F: 0.143 0.601 0.922
F: 0.149 0.097 0.246
Nb: 0.475 0.250 0.636
H: 0.458 0.404 0.120
N: 0.576 0.518 0.958
H: 0.121 0.580 0.590
H: 0.958 0.596 0.380
H: 0.132 0.750 0.239
F: 0.138 0.750 0.665
F: 0.357 0.601 0.422
F: 0.143 0.899 0.922
O: 0.013 0.750 0.276
H: 0.458 0.096 0.120
F: 0.851 0.903 0.754
H: 0.670 0.560 0.025
N: 0.424 0.482 0.042



No. 12
VASP calculation (PBE) on Ti3S4 after structural relaxation.

Summary:
Energy above the most stable polymorph in this dataset, meV/atom: 119
Raw total energy, eV for the cell shown: -48.64
Magnetization, Bohr magnetons per cell: 0.0

a = 3.406 Å, b = 3.406 Å, c = 12.086 Å
α = 90.00°, β = 90.00°, γ = 120.00°
Sites, in units of the cell vectors:
Ti: 0.333 0.667 0.244
Ti: 0.667 0.333 0.756
S: 0.667 0.333 0.376
S: 0.333 0.667 0.624
Ti: 0.000 0.000 0.500
S: 0.667 0.333 0.127
S: 0.333 0.667 0.873